A plane-wave DFT calculation with PBE was carried out for a relaxed SrPr12Al12Si18N36O18 crystal.

DFT formation energy in kJ per mole of atoms: -138.7
Space-group type: I-43m
Energy in eV per formula unit: -717.94
Magnetic moment in μB/cell: 6.00

abc: 11.6913 11.6913 11.6913
angles: 109.47 109.47 109.47
Sites, in units of the cell vectors:
Sr  0.0000  0.0000  0.0000
Pr  0.2533  0.5771  0.5771
Pr  0.7467  0.3238  0.3238
Pr  0.0000  0.4229  0.6762
Pr  0.5771  0.5771  0.2533
Pr  0.0000  0.6762  0.4229
Pr  0.3238  0.3238  0.7467
Pr  0.4229  0.6762  0.0000
Pr  0.6762  0.4229  0.0000
Pr  0.5771  0.2533  0.5771
Pr  0.6762  0.0000  0.4229
Pr  0.4229  0.0000  0.6762
Pr  0.3238  0.7467  0.3238
Al  0.3654  0.1887  0.1887
Al  0.6346  0.8233  0.8233
Al  0.0000  0.8113  0.1767
Al  0.1887  0.1887  0.3654
Al  0.0000  0.1767  0.8113
Al  0.8233  0.8233  0.6346
Al  0.8113  0.1767  0.0000
Al  0.1767  0.8113  0.0000
Al  0.1887  0.3654  0.1887
Al  0.1767  0.0000  0.8113
Al  0.8113  0.0000  0.1767
Al  0.8233  0.6346  0.8233
Si  0.6834  0.5226  0.5226
Si  0.3166  0.8392  0.8392
Si  0.0000  0.4774  0.1608
Si  0.5226  0.5226  0.6834
Si  0.0000  0.1608  0.4774
Si  0.8392  0.8392  0.3166
Si  0.4774  0.1608  0.0000
Si  0.1608  0.4774  0.0000
Si  0.5226  0.6834  0.5226
Si  0.1608  0.0000  0.4774
Si  0.4774  0.0000  0.1608
Si  0.8392  0.3166  0.8392
Si  0.6981  0.6981  0.0000
Si  0.3019  0.3019  0.0000
Si  0.6981  0.0000  0.6981
Si  0.3019  0.0000  0.3019
Si  0.0000  0.6981  0.6981
Si  0.0000  0.3019  0.3019
N  0.8540  0.5434  0.5434
N  0.1460  0.6893  0.6893
N  0.0000  0.4566  0.3107
N  0.5434  0.5434  0.8540
N  0.0000  0.3107  0.4566
N  0.6893  0.6893  0.1460
N  0.4566  0.3107  0.0000
N  0.3107  0.4566  0.0000
N  0.5434  0.8540  0.5434
N  0.3107  0.0000  0.4566
N  0.4566  0.0000  0.3107
N  0.6893  0.1460  0.6893
N  0.5003  0.6515  0.6515
N  0.4997  0.1512  0.1512
N  0.0000  0.3485  0.8488
N  0.6515  0.6515  0.5003
N  0.0000  0.8488  0.3485
N  0.1512  0.1512  0.4997
N  0.3485  0.8488  0.0000
N  0.8488  0.3485  0.0000
N  0.6515  0.5003  0.6515
N  0.8488  0.0000  0.3485
N  0.3485  0.0000  0.8488
N  0.1512  0.4997  0.1512
N  0.8880  0.7445  0.7445
N  0.1120  0.8565  0.8565
N  0.0000  0.2555  0.1435
N  0.7445  0.7445  0.8880
N  0.0000  0.1435  0.2555
N  0.8565  0.8565  0.1120
N  0.2555  0.1435  0.0000
N  0.1435  0.2555  0.0000
N  0.7445  0.8880  0.7445
N  0.1435  0.0000  0.2555
N  0.2555  0.0000  0.1435
N  0.8565  0.1120  0.8565
O  0.5623  0.3711  0.3711
O  0.4377  0.8088  0.8088
O  0.0000  0.6289  0.1911
O  0.3711  0.3711  0.5623
O  0.0000  0.1911  0.6289
O  0.8088  0.8088  0.4377
O  0.6289  0.1911  0.0000
O  0.1911  0.6289  0.0000
O  0.3711  0.5623  0.3711
O  0.1911  0.0000  0.6289
O  0.6289  0.0000  0.1911
O  0.8088  0.4377  0.8088
O  0.2500  0.7500  0.5000
O  0.7500  0.2500  0.5000
O  0.7500  0.5000  0.2500
O  0.2500  0.5000  0.7500
O  0.5000  0.2500  0.7500
O  0.5000  0.7500  0.2500

A plane-wave DFT calculation with PBE was carried out for a relaxed SiO2 crystal.

DFT formation energy in kJ per mole of atoms: -256.4
Space-group type: R-3c
Energy in eV per formula unit: -21.92
Magnetic moment in μB/cell: 0.00

abc: 11.0052 11.0052 11.0052
angles: 114.36 114.36 114.36
Sites, in units of the cell vectors:
Si  0.6387  0.4717  0.0429
Si  0.0429  0.6387  0.4717
Si  0.9571  0.3613  0.5283
Si  0.8613  0.4571  0.0283
Si  0.4571  0.0283  0.8613
Si  0.0283  0.8613  0.4571
Si  0.9717  0.1387  0.5429
Si  0.5429  0.9717  0.1387
Si  0.4717  0.0429  0.6387
Si  0.5283  0.9571  0.3613
Si  0.1387  0.5429  0.9717
Si  0.3613  0.5283  0.9571
O  0.5000  0.5000  0.0000
O  0.6799  0.2500  0.8201
O  0.0000  0.5000  0.0000
O  0.8201  0.6799  0.2500
O  0.5207  0.9793  0.7500
O  0.0332  0.4668  0.7500
O  0.7500  0.0332  0.4668
O  0.5332  0.2500  0.9668
O  0.9668  0.5332  0.2500
O  0.3201  0.7500  0.1799
O  0.4793  0.0207  0.2500
O  0.7500  0.5207  0.9793
O  0.2500  0.4793  0.0207
O  0.2500  0.8201  0.6799
O  0.2500  0.9668  0.5332
O  0.5000  0.0000  0.0000
O  0.0000  0.5000  0.5000
O  0.5000  0.0000  0.5000
O  0.4668  0.7500  0.0332
O  0.9793  0.7500  0.5207
O  0.1799  0.3201  0.7500
O  0.7500  0.1799  0.3201
O  0.0207  0.2500  0.4793
O  0.0000  0.0000  0.5000

A plane-wave DFT calculation with PBE was carried out for a relaxed CuBi2O4 crystal.

DFT formation energy in kJ per mole of atoms: -131.5
Space-group type: I4cm
Energy in eV per formula unit: -38.47
Magnetic moment in μB/cell: 0.00
Energy relative to the lowest polymorph listed for this composition in meV per atom: 88

abc: 5.6273 6.8867 6.8867
angles: 80.39 65.89 65.89
Sites, in units of the cell vectors:
Cu  0.6803  0.0000  0.0000
Cu  0.1798  0.0000  0.0000
Bi  0.6547  0.5004  0.1588
Bi  0.8135  0.8412  0.5004
Bi  0.1552  0.1588  0.4996
Bi  0.3140  0.4996  0.8412
O  0.7676  0.0886  0.7037
O  0.3560  0.9120  0.7034
O  0.5599  0.9114  0.2963
O  0.4713  0.2963  0.0886
O  0.0594  0.2966  0.9120
O  0.9714  0.0880  0.2966
O  0.8562  0.7037  0.9114
O  0.2680  0.7034  0.0880

A plane-wave DFT calculation with PBE was carried out for a relaxed Co3SbN crystal.

DFT formation energy in kJ per mole of atoms: 2.9
Space-group type: Pnma
Energy in eV per formula unit: -33.28
Magnetic moment in μB/cell: 11.88

abc: 5.4845 5.5635 7.7910
angles: 90.00 90.00 90.00
Sites, in units of the cell vectors:
Co  0.7617  0.7570  0.0076
Co  0.7383  0.2570  0.4924
Co  0.2383  0.2430  0.5076
Co  0.2617  0.7430  0.9924
Co  0.2383  0.2430  0.9924
Co  0.2617  0.7430  0.5076
Co  0.7617  0.7570  0.4924
Co  0.7383  0.2570  0.0076
Co  0.4983  0.9595  0.2500
Co  0.0017  0.4595  0.2500
Co  0.5017  0.0405  0.7500
Co  0.9983  0.5405  0.7500
Sb  0.4929  0.4910  0.2500
Sb  0.0071  0.9910  0.2500
Sb  0.5071  0.5090  0.7500
Sb  0.9929  0.0090  0.7500
N  0.0000  0.5000  0.0000
N  0.5000  0.0000  0.5000
N  0.0000  0.5000  0.5000
N  0.5000  0.0000  0.0000

A plane-wave DFT calculation with PBE was carried out for a relaxed U2Hg5As2O18 crystal.

DFT formation energy in kJ per mole of atoms: -157.8
Space-group type: P-1
Energy in eV per formula unit: -154.29
Magnetic moment in μB/cell: 4.00

abc: 7.0077 7.2141 9.7124
angles: 105.58 109.30 95.11
Sites, in units of the cell vectors:
U  0.6290  0.0034  0.2107
U  0.3710  0.9966  0.7893
Hg  0.0000  0.5000  0.5000
Hg  0.9274  0.2680  0.0434
Hg  0.0726  0.7320  0.9566
Hg  0.3923  0.5709  0.3115
Hg  0.6077  0.4291  0.6885
As  0.7730  0.9366  0.6043
As  0.2270  0.0634  0.3957
O  0.7883  0.0416  0.4693
O  0.2117  0.9584  0.5307
O  0.0065  0.9305  0.7331
O  0.9935  0.0695  0.2669
O  0.6428  0.0715  0.7052
O  0.3572  0.9285  0.2948
O  0.6497  0.6881  0.5201
O  0.3503  0.3119  0.4799
O  0.0433  0.5507  0.3185
O  0.9567  0.4493  0.6815
O  0.1942  0.4473  0.0808
O  0.8058  0.5527  0.9192
O  0.6787  0.0581  0.9988
O  0.3213  0.9419  0.0012
O  0.6252  0.7397  0.1627
O  0.3748  0.2603  0.8373
O  0.6182  0.2667  0.2695
O  0.3818  0.7333  0.7305

A plane-wave DFT calculation with PBE was carried out for a relaxed LiCu6OF11 crystal.

DFT formation energy in kJ per mole of atoms: -173.9
Space-group type: P1
Energy in eV per formula unit: -80.98
Magnetic moment in μB/cell: 0.04
Energy relative to the lowest polymorph listed for this composition in meV per atom: 1

abc: 5.3531 4.7842 8.6230
angles: 91.36 92.64 90.00
Sites, in units of the cell vectors:
Li  0.8069  0.4894  0.8433
Cu  0.9728  0.9999  0.0016
Cu  0.4205  0.5742  0.0596
Cu  0.3457  0.9834  0.3255
Cu  0.8270  0.4968  0.3222
Cu  0.2009  0.4900  0.6445
Cu  0.6846  0.0028  0.6500
O  0.5475  0.6938  0.2504
F  0.2714  0.1932  0.0823
F  0.0459  0.7826  0.2464
F  0.7856  0.3251  0.0468
F  0.1271  0.2901  0.4040
F  0.6334  0.1969  0.4067
F  0.3842  0.8074  0.5765
F  0.8830  0.6808  0.6012
F  0.5016  0.3199  0.7318
F  0.1475  0.6812  0.9065
F  0.9866  0.1995  0.7317
F  0.6652  0.8209  0.9191

A plane-wave DFT calculation with PBE was carried out for a relaxed Na6Sc3NbSi4S2O24 crystal.

DFT formation energy in kJ per mole of atoms: -276.3
Space-group type: P1
Energy in eV per formula unit: -283.84
Magnetic moment in μB/cell: 0.00

abc: 9.1271 9.1380 22.8449
angles: 89.80 90.40 119.96
Sites, in units of the cell vectors:
Na  0.6228  0.9991  0.2516
Na  0.6379  0.6260  0.7510
Na  0.0023  0.3665  0.7457
Na  0.2970  0.3419  0.5843
Na  0.0244  0.6916  0.5872
Na  0.6742  0.9629  0.5786
Na  0.2985  0.9542  0.0859
Na  0.6705  0.7094  0.0791
Na  0.0276  0.3370  0.0827
Na  0.9720  0.6809  0.9149
Na  0.3272  0.2962  0.9131
Na  0.6873  0.6722  0.4157
Na  0.9971  0.0154  0.4959
Na  0.9847  0.9940  0.9953
Na  0.6555  0.3268  0.8300
Na  0.6474  0.3199  0.3305
Na  0.3218  0.6739  0.1688
Na  0.3264  0.6595  0.6656
Sc  0.0230  0.0214  0.3533
Sc  0.0064  0.9972  0.8528
Sc  0.0051  0.0030  0.6506
Sc  0.0022  0.9860  0.1498
Sc  0.6715  0.3496  0.6857
Sc  0.6652  0.3252  0.1854
Sc  0.3351  0.6760  0.0158
Sc  0.3409  0.6549  0.5153
Sc  0.3413  0.6771  0.3173
Nb  0.6837  0.3350  0.9762
Nb  0.6733  0.3329  0.4777
Nb  0.3232  0.6611  0.8174
Si  0.2968  0.9990  0.2499
Si  0.2963  0.2920  0.7511
Si  0.0043  0.7102  0.7501
Si  0.9606  0.3349  0.5852
Si  0.6682  0.6284  0.5828
Si  0.9583  0.6230  0.0849
Si  0.6677  0.0396  0.0850
Si  0.6266  0.6707  0.9188
Si  0.0446  0.3693  0.9192
Si  0.3370  0.9612  0.9177
Si  0.6299  0.9588  0.4170
Si  0.3321  0.3725  0.4166
S  0.7070  0.7051  0.2508
S  0.0026  0.2937  0.2491
S  0.7052  0.9982  0.7502
S  0.3796  0.0455  0.5827
S  0.3775  0.3336  0.0831
S  0.0415  0.6668  0.4175
O  0.1963  0.0216  0.3046
O  0.8094  0.7862  0.3034
O  0.9710  0.1823  0.3006
O  0.2041  0.1854  0.8090
O  0.9638  0.7886  0.8071
O  0.8133  0.0271  0.8015
O  0.7793  0.9676  0.6962
O  0.1753  0.2177  0.6921
O  0.0315  0.8195  0.6902
O  0.7855  0.8135  0.1972
O  0.0226  0.2140  0.1951
O  0.1852  0.9773  0.1894
O  0.8691  0.3583  0.6422
O  0.4847  0.1204  0.6351
O  0.6292  0.5071  0.6397
O  0.8587  0.4987  0.1383
O  0.6315  0.1257  0.1407
O  0.4844  0.3610  0.1348
O  0.4531  0.3044  0.0296
O  0.8332  0.5283  0.0251
O  0.6913  0.1713  0.0280
O  0.4600  0.1540  0.5301
O  0.6932  0.5255  0.5265
O  0.8288  0.3074  0.5288
O  0.5383  0.6880  0.9770
O  0.1566  0.4560  0.9766
O  0.2983  0.8447  0.9751
O  0.5412  0.8485  0.4759
O  0.3075  0.4527  0.4771
O  0.1389  0.6899  0.4717
O  0.1168  0.6362  0.3660
O  0.5135  0.8819  0.3583
O  0.3762  0.5014  0.3618
O  0.1303  0.4988  0.8608
O  0.3642  0.8613  0.8612
O  0.4996  0.6349  0.8601
O  0.0090  0.8095  0.4109
O  0.8115  0.9670  0.4095
O  0.1708  0.1832  0.4132
O  0.0235  0.1872  0.9094
O  0.1716  0.9823  0.9105
O  0.8165  0.8246  0.9108
O  0.9761  0.1632  0.5861
O  0.2094  0.0315  0.5869
O  0.8412  0.8134  0.5864
O  0.9723  0.8104  0.0862
O  0.8442  0.0339  0.0879
O  0.2050  0.1810  0.0887
O  0.6865  0.1493  0.7430
O  0.4878  0.3228  0.7459
O  0.8413  0.5152  0.7461
O  0.6886  0.5364  0.2433
O  0.8452  0.3066  0.2445
O  0.4894  0.1669  0.2459
O  0.6339  0.4894  0.9244
O  0.8605  0.3689  0.9216
O  0.5030  0.1532  0.9250
O  0.6478  0.1504  0.4274
O  0.5116  0.3620  0.4275
O  0.8644  0.5096  0.4227
O  0.3581  0.4855  0.0780
O  0.1435  0.6382  0.0789
O  0.5018  0.8514  0.0790
O  0.3554  0.8730  0.5756
O  0.5006  0.6513  0.5789
O  0.1423  0.5097  0.5774
O  0.3212  0.8305  0.2540
O  0.5374  0.6935  0.2541
O  0.1529  0.4627  0.2563
O  0.3167  0.4889  0.7584
O  0.1742  0.6851  0.7578
O  0.5362  0.8404  0.7560

A plane-wave DFT calculation with PBE was carried out for a relaxed CsTi2Cl7 crystal.

DFT formation energy in kJ per mole of atoms: -206.8
Space-group type: P2_1/m
Energy in eV per formula unit: -46.76
Energy relative to the lowest polymorph listed for this composition in meV per atom: 0

abc: 11.4158 6.8112 7.5820
angles: 85.17 90.00 90.00
Sites, in units of the cell vectors:
Cs  0.7500  0.0590  0.6292
Cs  0.2500  0.9410  0.3708
Ti  0.8856  0.4170  0.1259
Ti  0.3856  0.5830  0.8741
Ti  0.1144  0.5830  0.8741
Ti  0.6144  0.4170  0.1259
Cl  0.7500  0.5602  0.8953
Cl  0.2500  0.4398  0.1047
Cl  0.7500  0.5480  0.3394
Cl  0.2500  0.4520  0.6606
Cl  0.7500  0.1326  0.1302
Cl  0.2500  0.8674  0.8698
Cl  0.0018  0.2794  0.8943
Cl  0.5018  0.7206  0.1057
Cl  0.9982  0.7206  0.1057
Cl  0.4982  0.2794  0.8943
Cl  0.9953  0.2603  0.3515
Cl  0.4953  0.7397  0.6485
Cl  0.0047  0.7397  0.6485
Cl  0.5047  0.2603  0.3515

A plane-wave DFT calculation with PBE was carried out for a relaxed Mg6V crystal.

DFT formation energy in kJ per mole of atoms: 23.6
Space-group type: Fm-3m
Energy in eV per formula unit: -16.97
Magnetic moment in μB/cell: 2.48

abc: 6.1274 6.1274 6.1274
angles: 60.00 60.00 60.00
Sites, in units of the cell vectors:
Mg  0.0000  0.0000  0.5000
Mg  0.5000  0.0000  0.5000
Mg  0.0000  0.5000  0.5000
Mg  0.5000  0.5000  0.0000
Mg  0.0000  0.5000  0.0000
Mg  0.5000  0.0000  0.0000
V  0.0000  0.0000  0.0000